Density functional theory data (PBE+U) for Sr4Fe3MoO12 after structural relaxation.

Summary:
E_form = -4690 kJ/mol of formula units
crystal system = tetragonal
calculated volume = 12.54 Å³ per atom
energy relative to the lowest polymorph listed for this composition = 0.0 kJ/mol of formula units
space-group type = No. 123

Cell: 5.601 5.601 7.998 Å, 90.00 90.00 90.00°
Sites, in units of the cell vectors:
Mo (0.000, 0.000, 0.000)
O (0.755, 0.245, 0.500)
O (0.756, 0.244, 0.000)
O (0.500, 0.500, 0.750)
O (0.244, 0.244, 0.000)
O (0.755, 0.755, 0.500)
O (0.245, 0.755, 0.500)
O (0.756, 0.756, 0.000)
O (0.000, 0.000, 0.758)
O (0.244, 0.756, 0.000)
O (0.245, 0.245, 0.500)
O (0.000, 0.000, 0.242)
O (0.500, 0.500, 0.250)
Sr (0.500, 0.000, 0.734)
Sr (0.500, 0.000, 0.266)
Sr (0.000, 0.500, 0.734)
Sr (0.000, 0.500, 0.266)
Fe (0.500, 0.500, 0.000)
Fe (0.000, 0.000, 0.500)
Fe (0.500, 0.500, 0.500)



Density functional theory data (PBE+U) for Sr10Fe5Mo4WO30 after structural relaxation.

Summary:
E_form = -12333 kJ/mol of formula units
crystal system = triclinic
calculated volume = 12.92 Å³ per atom
space-group type = No. 2

Cell: 5.664 8.053 14.934 Å, 105.63 99.67 90.03°
Sites, in units of the cell vectors:
Sr (0.101, 0.856, 0.204)
Sr (0.698, 0.950, 0.400)
Sr (0.902, 0.653, 0.797)
Sr (0.702, 0.450, 0.401)
Sr (0.899, 0.144, 0.796)
Sr (0.302, 0.050, 0.600)
Sr (0.098, 0.347, 0.203)
Sr (0.501, 0.243, 0.000)
Sr (0.499, 0.757, 0.000)
Sr (0.298, 0.550, 0.599)
O (0.023, 0.731, 0.988)
O (0.800, 0.579, 0.097)
O (0.710, 0.451, 0.903)
O (0.898, 0.650, 0.300)
O (0.498, 0.250, 0.501)
O (0.616, 0.346, 0.189)
O (0.392, 0.623, 0.302)
O (0.429, 0.147, 0.788)
O (0.223, 0.945, 0.390)
O (0.502, 0.750, 0.499)
O (0.571, 0.853, 0.212)
O (0.821, 0.545, 0.589)
O (0.302, 0.051, 0.102)
O (0.698, 0.949, 0.898)
O (0.098, 0.849, 0.698)
O (0.792, 0.026, 0.107)
O (0.290, 0.549, 0.097)
O (0.208, 0.974, 0.893)
O (0.200, 0.421, 0.903)
O (0.594, 0.825, 0.700)
O (0.977, 0.269, 0.012)
O (0.902, 0.151, 0.302)
O (0.777, 0.055, 0.610)
O (0.004, 0.775, 0.496)
O (0.406, 0.175, 0.300)
O (0.179, 0.455, 0.411)
O (0.384, 0.654, 0.811)
O (0.102, 0.350, 0.700)
O (0.996, 0.225, 0.504)
O (0.608, 0.377, 0.698)
Mo (0.799, 0.300, 0.600)
Mo (0.598, 0.099, 0.200)
Mo (0.201, 0.700, 0.400)
Mo (0.402, 0.901, 0.800)
W (0.000, 0.500, 0.000)
Fe (0.800, 0.800, 0.600)
Fe (0.200, 0.200, 0.400)
Fe (0.000, 0.000, 0.000)
Fe (0.604, 0.600, 0.201)
Fe (0.396, 0.400, 0.799)



Question: Which of these has the lowest calculated volume?
Answer: Sr4Fe3MoO12



Question: What is the E_form in the first record?
Answer: -4690 kJ/mol of formula units



Question: What is the formula in the first record?
Answer: Sr4Fe3MoO12